DFT (PBE with a Hubbard U) results for an optimized crystal structure of CeEu2VO6.

Cell: 5.881 5.881 5.881 Å, 60.00 60.00 60.00°
Fractional coordinates of all 10 atoms:
Eu 0.750 0.750 0.750
Eu 0.250 0.250 0.250
O 0.266 0.734 0.266
O 0.266 0.734 0.734
O 0.734 0.266 0.734
O 0.266 0.266 0.734
O 0.734 0.266 0.266
O 0.734 0.734 0.266
V 0.500 0.500 0.500
Ce 0.000 0.000 0.000

Computed properties:
Magnetization ... 15.00 μB per formula unit
Space-group type ... Fm-3m (225)
ΔE_f ... -3.122 eV per atom
Uncorrected energy ... -9.061 eV per atom

***

DFT (PBE with a Hubbard U) results for an optimized crystal structure of CeEu2WO6.

Cell: 6.009 6.009 6.009 Å, 60.00 60.00 60.00°
Fractional coordinates of all 10 atoms:
Ce 0.000 0.000 0.000
Eu 0.750 0.750 0.750
Eu 0.250 0.250 0.250
O 0.262 0.738 0.738
O 0.262 0.738 0.262
O 0.738 0.262 0.262
O 0.262 0.262 0.738
O 0.738 0.738 0.262
O 0.738 0.262 0.738
W 0.500 0.500 0.500

Computed properties:
Magnetization ... 16.00 μB per formula unit
Space-group type ... Fm-3m (225)
ΔE_f ... -2.922 eV per atom
Energy relative to the lowest polymorph listed for this composition ... 0.096 eV/atom
Uncorrected energy ... -8.975 eV per atom

***

DFT (PBE with a Hubbard U) results for an optimized crystal structure of CeEu2WO6.

Cell: 8.484 8.484 8.484 Å, 90.00 90.00 90.00°
Fractional coordinates of all 40 atoms:
Eu 0.000 0.000 0.000
Eu 0.500 0.000 0.000
Eu 0.000 0.500 0.500
Eu 0.500 0.500 0.000
Eu 0.000 0.500 0.000
Eu 0.500 0.000 0.500
Eu 0.000 0.000 0.500
Eu 0.500 0.500 0.500
O 0.202 0.988 0.709
O 0.709 0.202 0.988
O 0.512 0.791 0.298
O 0.298 0.512 0.791
O 0.798 0.988 0.291
O 0.791 0.298 0.512
O 0.488 0.791 0.702
O 0.012 0.709 0.798
O 0.791 0.702 0.488
O 0.488 0.209 0.298
O 0.209 0.298 0.488
O 0.988 0.709 0.202
O 0.988 0.291 0.798
O 0.298 0.488 0.209
O 0.012 0.291 0.202
O 0.291 0.798 0.988
O 0.512 0.209 0.702
O 0.702 0.488 0.791
O 0.702 0.512 0.209
O 0.202 0.012 0.291
O 0.209 0.702 0.512
O 0.291 0.202 0.012
O 0.798 0.012 0.709
O 0.709 0.798 0.012
W 0.750 0.250 0.750
W 0.250 0.750 0.750
W 0.250 0.250 0.250
W 0.750 0.750 0.250
Ce 0.750 0.250 0.250
Ce 0.250 0.250 0.750
Ce 0.250 0.750 0.250
Ce 0.750 0.750 0.750

Computed properties:
Magnetization ... 8.98 μB per formula unit
Space-group type ... Pn-3 (201)
ΔE_f ... -3.018 eV per atom
Energy relative to the lowest polymorph listed for this composition ... 0.000 eV/atom
Uncorrected energy ... -9.071 eV per atom

***

DFT (PBE with a Hubbard U) results for an optimized crystal structure of K2Ce2Fe4O11.

Cell: 8.817 8.817 3.899 Å, 90.00 90.00 126.68°
Fractional coordinates of all 19 atoms:
K 0.500 0.000 0.500
K 0.000 0.500 0.500
Ce 0.234 0.234 0.500
Ce 0.766 0.766 0.500
O 0.356 0.167 0.000
O 0.000 0.000 0.000
O 0.750 0.250 0.000
O 0.833 0.644 0.000
O 0.414 0.586 0.500
O 0.893 0.107 0.500
O 0.250 0.750 0.000
O 0.586 0.414 0.500
O 0.167 0.356 0.000
O 0.107 0.893 0.500
O 0.644 0.833 0.000
Fe 0.873 0.127 0.000
Fe 0.127 0.873 0.000
Fe 0.370 0.630 0.000
Fe 0.630 0.370 0.000

Computed properties:
Magnetization ... 20.00 μB per formula unit
Space-group type ... Cmmm (65)
ΔE_f ... -2.332 eV per atom
Uncorrected energy ... -6.849 eV per atom

***

DFT (PBE with a Hubbard U) results for an optimized crystal structure of Na2CeFeO6.

Cell: 5.736 5.736 5.736 Å, 60.00 60.00 60.00°
Fractional coordinates of all 10 atoms:
O 0.269 0.269 0.731
O 0.731 0.269 0.731
O 0.731 0.731 0.269
O 0.731 0.269 0.269
O 0.269 0.731 0.269
O 0.269 0.731 0.731
Ce 0.000 0.000 0.000
Na 0.750 0.750 0.750
Na 0.250 0.250 0.250
Fe 0.500 0.500 0.500

Computed properties:
Magnetization ... 2.00 μB per formula unit
Space-group type ... Fm-3m (225)
ΔE_f ... -1.995 eV per atom
Uncorrected energy ... -6.030 eV per atom

***

DFT (PBE with a Hubbard U) results for an optimized crystal structure of NaSrCeFeO6.

Cell: 5.783 5.783 5.783 Å, 60.00 60.00 60.00°
Fractional coordinates of all 10 atoms:
O 0.267 0.733 0.267
O 0.267 0.267 0.733
O 0.733 0.733 0.267
O 0.267 0.733 0.733
O 0.733 0.267 0.733
O 0.733 0.267 0.267
Ce 0.000 0.000 0.000
Na 0.250 0.250 0.250
Fe 0.500 0.500 0.500
Sr 0.750 0.750 0.750

Computed properties:
Magnetization ... 3.00 μB per formula unit
Space-group type ... F-43m (216)
ΔE_f ... -2.438 eV per atom
Uncorrected energy ... -6.511 eV per atom

***

DFT (PBE with a Hubbard U) results for an optimized crystal structure of Ce2FeP2O.

Cell: 3.075 3.075 14.439 Å, 90.00 90.00 90.00°
Fractional coordinates of all 6 atoms:
O 0.500 0.500 0.000
Ce 0.500 0.500 0.143
Ce 0.500 0.500 0.857
Fe 0.500 0.500 0.500
P 0.500 0.500 0.336
P 0.500 0.500 0.664

Computed properties:
Magnetization ... 3.73 μB per formula unit
Space-group type ... P4/mmm (123)
ΔE_f ... -0.118 eV per atom
Uncorrected energy ... -5.646 eV per atom

***

DFT (PBE with a Hubbard U) results for an optimized crystal structure of Rb2Ce2Fe4O11.

Cell: 8.844 8.844 3.928 Å, 90.00 90.00 125.95°
Fractional coordinates of all 19 atoms:
Rb 0.000 0.500 0.500
Rb 0.500 0.000 0.500
O 0.605 0.395 0.500
O 0.087 0.913 0.500
O 0.250 0.750 0.000
O 0.750 0.250 0.000
O 0.144 0.330 0.000
O 0.500 0.500 0.000
O 0.395 0.605 0.500
O 0.913 0.087 0.500
O 0.670 0.856 0.000
O 0.856 0.670 0.000
O 0.330 0.144 0.000
Fe 0.129 0.871 0.000
Fe 0.871 0.129 0.000
Fe 0.374 0.626 0.000
Fe 0.626 0.374 0.000
Ce 0.264 0.264 0.500
Ce 0.736 0.736 0.500

Computed properties:
Magnetization ... 0.00 μB per formula unit
Space-group type ... Cmmm (65)
ΔE_f ... -2.322 eV per atom
Uncorrected energy ... -6.824 eV per atom

***

- Number 2 is which compound?
  CeEu2WO6